PBE ZnCuP4O12, optimized geometry; ΔH_f (0 K) = -2.34 eV per atom; magnetization = 2.0 μB per cell
1.0
5.968 -4.180 0.000
5.968 4.180 0.000
-4.766 0.000 8.825
Zn Cu P O
2 2 8 24
direct
0.051 0.949 0.750 Zn
0.949 0.051 0.250 Zn
0.000 0.500 0.500 Cu
0.500 0.000 0.000 Cu
0.254 0.730 0.022 P
0.270 0.746 0.478 P
0.297 0.314 0.802 P
0.314 0.297 0.302 P
0.686 0.703 0.698 P
0.703 0.686 0.198 P
0.730 0.254 0.522 P
0.746 0.270 0.978 P
0.091 0.851 0.095 O
0.123 0.289 0.325 O
0.149 0.909 0.405 O
0.189 0.710 0.584 O
0.192 0.336 0.647 O
0.209 0.505 0.928 O
0.289 0.123 0.825 O
0.290 0.811 0.916 O
0.317 0.534 0.345 O
0.336 0.192 0.147 O
0.466 0.683 0.155 O
0.495 0.791 0.572 O
0.505 0.209 0.428 O
0.534 0.317 0.845 O
0.664 0.808 0.853 O
0.683 0.466 0.655 O
0.710 0.189 0.084 O
0.711 0.877 0.175 O
0.791 0.495 0.072 O
0.808 0.664 0.353 O
0.811 0.290 0.416 O
0.851 0.091 0.595 O
0.877 0.711 0.675 O
0.909 0.149 0.905 O